Entry from the Materials Project: a relaxed CaSe crystal (GGA-PBE).

abc: 4.667 4.667 4.667
angles: 60.00 60.00 60.00
Element x y z (fractional)
1 Ca 0.000 0.000 0.000
2 Se 0.750 0.750 0.750

The calculation puts the energy of formation at -2000 meV per atom. Its largest piezoelectric modulus is 0.31 C/m2. For the raw total energy, the calculation gives -9.03 eV per cell.